# 1
# Li4FeSi3O9 | Materials Project | PBE+U | relaxed
# VASP energy = -6.749 eV per atom
data_Li4FeSi3O9
_chemical_formula_sum 'Li8 Fe2 Si6 O18'
_cell_length_a 6.3060
_cell_length_b 6.3060
_cell_length_c 10.0939
_cell_angle_alpha 89.08
_cell_angle_beta 89.08
_cell_angle_gamma 107.17
_space_group_name_H-M_alt 'P 1'
_space_group_IT_number 1
loop_
_space_group_symop_operation_xyz
'x,y,z'
loop_
_atom_site_label
_atom_site_type_symbol
_atom_site_fract_x
_atom_site_fract_y
_atom_site_fract_z
Si1 Si 0.4795 0.9255 0.4956
O1 O 0.6899 0.4282 0.7720
Li1 Li 0.6253 0.3747 0.0000
O2 O 0.0330 0.2909 0.5867
Si2 Si 0.0745 0.5205 0.5044
O3 O 0.7471 0.8858 0.1160
O4 O 0.9502 0.4971 0.0624
Li2 Li 0.4604 0.8105 0.7883
O5 O 0.1190 0.6682 0.8238
Li3 Li 0.9916 0.0084 0.5000
O6 O 0.1142 0.2529 0.8840
Li4 Li 0.1895 0.5396 0.2117
Si3 Si 0.3384 0.1163 0.2526
O7 O 0.3935 0.6065 0.0000
Si4 Si 0.5100 0.8700 0.0517
O8 O 0.9576 0.6933 0.5861
O9 O 0.3542 0.6458 0.5000
O10 O 0.3318 0.8810 0.1762
O11 O 0.9770 0.5112 0.3566
O12 O 0.7938 0.8594 0.7966
O13 O 0.7091 0.9670 0.4133
O14 O 0.1406 0.2062 0.2034
Si5 Si 0.1300 0.4900 0.9483
Li5 Li 0.5547 0.4453 0.5000
Fe1 Fe 0.8162 0.1684 0.7492
Si6 Si 0.8837 0.6616 0.7474
Li6 Li 0.8149 0.6302 0.2090
Fe2 Fe 0.8316 0.1838 0.2508
O15 O 0.5718 0.3101 0.2280
O16 O 0.3067 0.0424 0.4139
O17 O 0.4888 0.0230 0.6434
Li7 Li 0.3698 0.1851 0.7910
O18 O 0.5029 0.0498 0.9376
Li8 Li 0.0005 0.9995 0.0000

---

# 2
# LiFeSiO4 | Materials Project | PBE+U | relaxed
# VASP energy = -6.854 eV per atom
# largest piezoelectric modulus = 1.28 C/m²
data_LiFeSiO4
_chemical_formula_sum 'Li2 Fe2 Si2 O8'
_cell_length_a 5.4687
_cell_length_b 5.1348
_cell_length_c 8.6234
_cell_angle_alpha 53.60
_cell_angle_beta 90.00
_cell_angle_gamma 90.00
_space_group_name_H-M_alt 'P 1'
_space_group_IT_number 1
loop_
_space_group_symop_operation_xyz
'x,y,z'
loop_
_atom_site_label
_atom_site_type_symbol
_atom_site_fract_x
_atom_site_fract_y
_atom_site_fract_z
O1 O 0.4059 0.8900 0.1976
O2 O 0.8662 0.9833 0.0729
O3 O 0.3200 0.3776 0.7843
Si1 Si 0.3174 0.7300 0.7496
Li1 Li 0.5932 0.2873 0.6813
Fe1 Fe 0.1857 0.9805 0.0002
Fe2 Fe 0.8143 0.9805 0.5002
O4 O 0.2427 0.6616 0.9572
O5 O 0.5941 0.8900 0.6976
O6 O 0.6800 0.3776 0.2843
Si2 Si 0.6826 0.7300 0.2496
O7 O 0.1338 0.9833 0.5729
O8 O 0.7573 0.6616 0.4572
Li2 Li 0.4068 0.2873 0.1813

---

# 3
# Li3FeSi2O7 | Materials Project | PBE+U | relaxed
# VASP energy = -6.688 eV per atom
data_Li3FeSi2O7
_chemical_formula_sum 'Li12 Fe4 Si8 O28'
_cell_length_a 5.0270
_cell_length_b 8.9642
_cell_length_c 12.4881
_cell_angle_alpha 90.00
_cell_angle_beta 90.00
_cell_angle_gamma 90.00
_space_group_name_H-M_alt 'P 1'
_space_group_IT_number 1
loop_
_space_group_symop_operation_xyz
'x,y,z'
loop_
_atom_site_label
_atom_site_type_symbol
_atom_site_fract_x
_atom_site_fract_y
_atom_site_fract_z
Li1 Li 0.0338 0.3380 0.0910
O1 O 0.8262 0.1474 0.3836
Li2 Li 0.5338 0.1620 0.5910
Li3 Li 0.4662 0.8380 0.0910
O2 O 0.9307 0.1400 0.6287
Si1 Si 0.4913 0.8179 0.6313
Li4 Li 0.4662 0.8380 0.4090
O3 O 0.6738 0.6474 0.3836
O4 O 0.5693 0.6400 0.8713
O5 O 0.8262 0.1474 0.1164
Si2 Si 0.9913 0.6821 0.3687
Si3 Si 0.0087 0.3179 0.6313
O6 O 0.0693 0.8600 0.1287
O7 O 0.0693 0.8600 0.3713
O8 O 0.1738 0.8526 0.8836
Fe1 Fe 0.5000 0.5000 0.0000
Li5 Li 0.0338 0.3380 0.4090
Si4 Si 0.5087 0.1821 0.3687
O9 O 0.6665 0.8994 0.5382
O10 O 0.4307 0.3600 0.1287
O11 O 0.3262 0.3526 0.8836
O12 O 0.6665 0.8994 0.9618
Li6 Li 0.5338 0.1620 0.9090
O13 O 0.9098 0.3879 0.7500
O14 O 0.3262 0.3526 0.6164
Li7 Li 0.0310 0.0151 0.2500
O15 O 0.0902 0.6121 0.2500
Fe2 Fe 0.5000 0.5000 0.5000
Li8 Li 0.9690 0.9849 0.7500
Li9 Li 0.9662 0.6620 0.5910
Si5 Si 0.5087 0.1821 0.1313
O16 O 0.9307 0.1400 0.8713
O17 O 0.5902 0.8879 0.7500
O18 O 0.6738 0.6474 0.1164
O19 O 0.1665 0.6006 0.4618
O20 O 0.1738 0.8526 0.6164
O21 O 0.3335 0.1006 0.0382
Li10 Li 0.9662 0.6620 0.9090
O22 O 0.8335 0.3994 0.5382
Si6 Si 0.4913 0.8179 0.8687
O23 O 0.4307 0.3600 0.3713
O24 O 0.3335 0.1006 0.4618
Li11 Li 0.5310 0.4849 0.7500
O25 O 0.1665 0.6006 0.0382
Fe3 Fe 0.0000 0.0000 0.5000
Si7 Si 0.0087 0.3179 0.8687
Li12 Li 0.4690 0.5151 0.2500
O26 O 0.4098 0.1121 0.2500
O27 O 0.8335 0.3994 0.9618
O28 O 0.5693 0.6400 0.6287
Si8 Si 0.9913 0.6821 0.1313
Fe4 Fe 0.0000 0.0000 0.0000

---

# 4
# LiFeSiO4 | Materials Project | PBE+U | relaxed
# VASP energy = -6.898 eV per atom
data_LiFeSiO4
_chemical_formula_sum 'Li4 Fe4 Si4 O16'
_cell_length_a 4.8045
_cell_length_b 5.8775
_cell_length_c 10.2003
_cell_angle_alpha 90.00
_cell_angle_beta 90.00
_cell_angle_gamma 90.00
_space_group_name_H-M_alt 'P 1'
_space_group_IT_number 1
loop_
_space_group_symop_operation_xyz
'x,y,z'
loop_
_atom_site_label
_atom_site_type_symbol
_atom_site_fract_x
_atom_site_fract_y
_atom_site_fract_z
Si1 Si 0.4409 0.2500 0.4067
O1 O 0.2836 0.0351 0.3289
O2 O 0.7164 0.5351 0.6711
Si2 Si 0.9409 0.7500 0.0933
Si3 Si 0.5591 0.7500 0.5933
Li1 Li 0.5000 0.5000 0.0000
O3 O 0.2221 0.7500 0.6023
O4 O 0.2836 0.4649 0.3289
O5 O 0.7836 0.5351 0.1711
Fe1 Fe 0.4934 0.7500 0.2731
O6 O 0.2164 0.4649 0.8289
O7 O 0.7164 0.9649 0.6711
Fe2 Fe 0.0066 0.7500 0.7731
Li2 Li 0.5000 0.0000 0.0000
O8 O 0.8137 0.7500 0.9441
O9 O 0.7221 0.2500 0.8977
O10 O 0.1863 0.2500 0.0559
Fe3 Fe 0.9934 0.2500 0.2269
Li3 Li 0.0000 0.0000 0.5000
O11 O 0.3137 0.2500 0.5559
Li4 Li 0.0000 0.5000 0.5000
O12 O 0.7836 0.9649 0.1711
Fe4 Fe 0.5066 0.2500 0.7269
O13 O 0.2164 0.0351 0.8289
O14 O 0.7779 0.2500 0.3977
O15 O 0.2779 0.7500 0.1023
Si4 Si 0.0591 0.2500 0.9067
O16 O 0.6863 0.7500 0.4441

---

# 5
# Li2FeSiO4 | Materials Project | PBE+U | relaxed
# VASP energy = -6.617 eV per atom
data_Li2FeSiO4
_chemical_formula_sum 'Li8 Fe4 Si4 O16'
_cell_length_a 5.1596
_cell_length_b 6.2879
_cell_length_c 11.0059
_cell_angle_alpha 90.00
_cell_angle_beta 90.00
_cell_angle_gamma 90.00
_space_group_name_H-M_alt 'P 1'
_space_group_IT_number 1
loop_
_space_group_symop_operation_xyz
'x,y,z'
loop_
_atom_site_label
_atom_site_type_symbol
_atom_site_fract_x
_atom_site_fract_y
_atom_site_fract_z
Si1 Si 0.3091 0.3680 0.5883
O1 O 0.2941 0.1495 0.1585
Fe1 Fe 0.8102 0.6183 0.6666
Li1 Li 0.2127 0.8680 0.5738
O2 O 0.7059 0.6495 0.8415
Li2 Li 0.7127 0.3680 0.9262
O3 O 0.2059 0.1495 0.6585
O4 O 0.8031 0.8682 0.5516
Li3 Li 0.2873 0.8680 0.0738
Li4 Li 0.3113 0.6197 0.8388
Si2 Si 0.1909 0.3680 0.0883
Fe2 Fe 0.1898 0.1183 0.3334
Fe3 Fe 0.6898 0.6183 0.1666
O5 O 0.1295 0.8661 0.9115
O6 O 0.7114 0.0841 0.8377
O7 O 0.6969 0.8682 0.0516
Li5 Li 0.1887 0.6197 0.3388
Si3 Si 0.8091 0.8680 0.9117
O8 O 0.2114 0.5841 0.6623
Li6 Li 0.7873 0.3680 0.4262
Li7 Li 0.6887 0.1197 0.1612
O9 O 0.1969 0.3682 0.4484
O10 O 0.3705 0.8661 0.4115
O11 O 0.2886 0.5841 0.1623
O12 O 0.3031 0.3682 0.9484
Li8 Li 0.8113 0.1197 0.6612
O13 O 0.8705 0.3661 0.0885
O14 O 0.6295 0.3661 0.5885
O15 O 0.7941 0.6495 0.3415
Si4 Si 0.6909 0.8680 0.4117
O16 O 0.7886 0.0841 0.3377
Fe4 Fe 0.3102 0.1183 0.8334

---

# 6
# LiFeSiO4 | Materials Project | PBE+U | relaxed
# VASP energy = -6.853 eV per atom
data_LiFeSiO4
_chemical_formula_sum 'Li8 Fe8 Si8 O32'
_cell_length_a 5.2229
_cell_length_b 10.5741
_cell_length_c 12.9630
_cell_angle_alpha 90.00
_cell_angle_beta 90.00
_cell_angle_gamma 90.00
_space_group_name_H-M_alt 'P 1'
_space_group_IT_number 1
loop_
_space_group_symop_operation_xyz
'x,y,z'
loop_
_atom_site_label
_atom_site_type_symbol
_atom_site_fract_x
_atom_site_fract_y
_atom_site_fract_z
Fe1 Fe 0.5841 0.5425 0.6261
O1 O 0.6087 0.9835 0.5126
O2 O 0.5377 0.5598 0.2355
Li1 Li 0.9230 0.9504 0.7444
O3 O 0.5158 0.7841 0.1445
O4 O 0.1251 0.7878 0.7632
Li2 Li 0.0770 0.4504 0.7444
O5 O 0.9122 0.1904 0.4807
O6 O 0.3913 0.0165 0.0126
Li3 Li 0.5707 0.2093 0.9997
O7 O 0.1251 0.7122 0.2632
Si1 Si 0.4393 0.7936 0.7507
O8 O 0.9802 0.0380 0.8929
O9 O 0.5377 0.9402 0.7355
Si2 Si 0.0965 0.9647 0.9958
Si3 Si 0.9035 0.4647 0.9958
Fe2 Fe 0.5841 0.9575 0.1261
Li4 Li 0.4293 0.7093 0.9997
Li5 Li 0.9230 0.5496 0.2444
O10 O 0.9320 0.5012 0.6017
Si4 Si 0.5607 0.2936 0.7507
O11 O 0.0198 0.9620 0.3929
Fe3 Fe 0.4159 0.4575 0.1261
O12 O 0.5158 0.7159 0.6445
Li6 Li 0.4293 0.7907 0.4997
O13 O 0.6087 0.5165 0.0126
O14 O 0.4623 0.4402 0.7355
O15 O 0.4158 0.2365 0.8539
Li7 Li 0.0770 0.0496 0.2444
Fe4 Fe 0.9426 0.7124 0.8728
Si5 Si 0.4393 0.7064 0.2507
O16 O 0.0680 0.4988 0.1017
O17 O 0.4158 0.2635 0.3539
Si6 Si 0.0965 0.5353 0.4958
O18 O 0.8749 0.2878 0.7632
O19 O 0.9122 0.3096 0.9807
O20 O 0.9802 0.4620 0.3929
O21 O 0.4623 0.0598 0.2355
O22 O 0.0198 0.5380 0.8929
O23 O 0.0680 0.0012 0.6017
Si7 Si 0.9035 0.0353 0.4958
Fe5 Fe 0.0574 0.2124 0.8728
O24 O 0.5842 0.7635 0.3539
O25 O 0.4842 0.2159 0.6445
O26 O 0.5842 0.7365 0.8539
O27 O 0.0878 0.6904 0.4807
Li8 Li 0.5707 0.2907 0.4997
O28 O 0.0878 0.8096 0.9807
O29 O 0.4842 0.2841 0.1445
O30 O 0.3913 0.4835 0.5126
Fe6 Fe 0.0574 0.2876 0.3728
O31 O 0.8749 0.2122 0.2632
Fe7 Fe 0.9426 0.7876 0.3728
O32 O 0.9320 0.9988 0.1017
Fe8 Fe 0.4159 0.0425 0.6261
Si8 Si 0.5607 0.2064 0.2507

---

# 7
# Li2FeSiO4 | Materials Project | PBE+U | relaxed
# VASP energy = -6.619 eV per atom
data_Li2FeSiO4
_chemical_formula_sum 'Li8 Fe4 Si4 O16'
_cell_length_a 11.0373
_cell_length_b 5.1323
_cell_length_c 6.2324
_cell_angle_alpha 88.69
_cell_angle_beta 90.00
_cell_angle_gamma 90.00
_space_group_name_H-M_alt 'P 1'
_space_group_IT_number 1
loop_
_space_group_symop_operation_xyz
'x,y,z'
loop_
_atom_site_label
_atom_site_type_symbol
_atom_site_fract_x
_atom_site_fract_y
_atom_site_fract_z
O1 O 0.9487 0.4399 0.9972
Si1 Si 0.5874 0.4427 0.0029
Si2 Si 0.9091 0.9439 0.4933
Li1 Li 0.4268 0.9518 0.0110
O2 O 0.4487 0.5601 0.0028
Fe1 Fe 0.6667 0.9487 0.7531
Li2 Li 0.5699 0.5463 0.4985
O3 O 0.5842 0.1200 0.0048
O4 O 0.6558 0.5443 0.2229
Fe2 Fe 0.3308 0.5511 0.7564
Fe3 Fe 0.1667 0.0513 0.2469
Si3 Si 0.0874 0.5573 0.9971
O5 O 0.1558 0.4557 0.7771
Li3 Li 0.0699 0.4537 0.5015
O6 O 0.3406 0.9546 0.2868
O7 O 0.8328 0.0405 0.2766
Li4 Li 0.9268 0.0482 0.9890
O8 O 0.5478 0.9382 0.5064
O9 O 0.0478 0.0618 0.4936
Si4 Si 0.4091 0.0561 0.5067
O10 O 0.8406 0.0454 0.7132
Li5 Li 0.6567 0.9421 0.2517
O11 O 0.0842 0.8800 0.9952
O12 O 0.9123 0.6214 0.4969
Li6 Li 0.3394 0.5583 0.2568
O13 O 0.3328 0.9595 0.7234
Li7 Li 0.8394 0.4417 0.7432
Fe4 Fe 0.8308 0.4489 0.2436
O14 O 0.6641 0.5391 0.7856
O15 O 0.4123 0.3786 0.5031
Li8 Li 0.1567 0.0579 0.7483
O16 O 0.1641 0.4609 0.2144

---

# 8
# Li2Fe2Si2O7 | Materials Project | PBE+U | relaxed
# VASP energy = -6.862 eV per atom
data_Li2Fe2Si2O7
_chemical_formula_sum 'Li4 Fe4 Si4 O14'
_cell_length_a 5.3674
_cell_length_b 8.1567
_cell_length_c 9.2954
_cell_angle_alpha 88.67
_cell_angle_beta 89.97
_cell_angle_gamma 91.20
_space_group_name_H-M_alt 'P 1'
_space_group_IT_number 1
loop_
_space_group_symop_operation_xyz
'x,y,z'
loop_
_atom_site_label
_atom_site_type_symbol
_atom_site_fract_x
_atom_site_fract_y
_atom_site_fract_z
O1 O 0.2058 0.2338 0.5041
Fe1 Fe 0.5033 0.7724 0.1645
Li1 Li 0.4958 0.2281 0.1688
O2 O 0.7938 0.7668 0.4959
O3 O 0.6452 0.2341 0.6459
Si1 Si 0.5021 0.7009 0.4989
Si2 Si 0.0020 0.7008 0.9989
O4 O 0.3548 0.7656 0.3539
Si3 Si 0.4979 0.2992 0.5010
O5 O 0.0006 0.5000 0.0000
Li2 Li 0.9958 0.2281 0.6688
O6 O 0.8608 0.7615 0.1447
Fe2 Fe 0.9964 0.2271 0.3354
Fe3 Fe 0.4967 0.2271 0.8355
Fe4 Fe 0.0033 0.7725 0.6648
Li3 Li 0.0040 0.7718 0.3311
Si4 Si 0.9981 0.2991 0.0011
O7 O 0.3608 0.7615 0.6447
O8 O 0.7061 0.2337 0.0041
O9 O 0.1394 0.2386 0.8552
O10 O 0.2937 0.7669 0.9958
O11 O 0.5006 0.5000 0.5001
O12 O 0.6392 0.2385 0.3552
O13 O 0.1454 0.2342 0.1460
Li4 Li 0.5040 0.7718 0.8311
O14 O 0.8545 0.7657 0.8541

---

# 9
# LiFeSiO4 | Materials Project | PBE+U | relaxed
# VASP energy = -6.842 eV per atom
data_LiFeSiO4
_chemical_formula_sum 'Li12 Fe12 Si12 O48'
_cell_length_a 12.1482
_cell_length_b 10.7656
_cell_length_c 10.8572
_cell_angle_alpha 60.43
_cell_angle_beta 90.00
_cell_angle_gamma 90.00
_space_group_name_H-M_alt 'P 1'
_space_group_IT_number 1
loop_
_space_group_symop_operation_xyz
'x,y,z'
loop_
_atom_site_label
_atom_site_type_symbol
_atom_site_fract_x
_atom_site_fract_y
_atom_site_fract_z
O1 O 0.7354 0.0982 0.8048
O2 O 0.0623 0.2081 0.8968
Si1 Si 0.6705 0.7468 0.7469
Si2 Si 0.6649 0.7529 0.2491
O3 O 0.2639 0.9025 0.1951
O4 O 0.7437 0.4022 0.1906
Li1 Li 0.3331 0.0000 0.0000
Si3 Si 0.0009 0.7471 0.5041
O5 O 0.9285 0.6039 0.6012
Fe1 Fe 0.8349 0.0012 0.7501
Li2 Li 0.3377 0.0000 0.5000
O6 O 0.0811 0.6785 0.9258
O7 O 0.2468 0.5846 0.2909
Si4 Si 0.3341 0.9983 0.2484
O8 O 0.7440 0.6123 0.3029
O9 O 0.9372 0.8972 0.8957
O10 O 0.5961 0.1983 0.8987
O11 O 0.0864 0.2983 0.5862
O12 O 0.4127 0.9149 0.3872
O13 O 0.7440 0.3877 0.6971
Fe2 Fe 0.1647 0.7557 0.7494
O14 O 0.0623 0.7919 0.1032
O15 O 0.7437 0.5978 0.8094
Si5 Si 0.3305 0.5055 0.7550
O16 O 0.4164 0.5833 0.1066
O17 O 0.2559 0.9120 0.6998
Li3 Li 0.0001 0.0000 0.0000
Si6 Si 0.3341 0.0017 0.7516
Fe3 Fe 0.1647 0.2443 0.2506
Li4 Li 0.5574 0.5000 0.0000
Li5 Li 0.6664 0.0000 0.0000
O18 O 0.5854 0.3029 0.6123
O19 O 0.0750 0.7907 0.6024
Si7 Si 0.9973 0.2548 0.9996
Fe4 Fe 0.5005 0.7538 0.9978
Fe5 Fe 0.4992 0.2493 0.5012
Li6 Li 0.3521 0.5000 0.0000
Li7 Li 0.6640 0.5000 0.5000
O20 O 0.9372 0.1028 0.1043
O21 O 0.4164 0.4167 0.8934
O22 O 0.5961 0.8017 0.1013
O23 O 0.6000 0.2185 0.3917
O24 O 0.9285 0.3961 0.3988
O25 O 0.3982 0.6134 0.6160
Fe6 Fe 0.5005 0.2462 0.0022
Si8 Si 0.9973 0.7452 0.0004
O26 O 0.3982 0.3866 0.3840
O27 O 0.2559 0.0880 0.3002
Li8 Li 0.1645 0.5000 0.5000
O28 O 0.4019 0.9025 0.9002
Li9 Li 0.1683 0.5000 0.0000
O29 O 0.0750 0.2093 0.3976
O30 O 0.6000 0.7815 0.6083
O31 O 0.9095 0.3907 0.9257
O32 O 0.2552 0.4158 0.1727
O33 O 0.5885 0.7027 0.8860
O34 O 0.2468 0.4154 0.7091
O35 O 0.7354 0.9018 0.1952
O36 O 0.7549 0.1178 0.2987
O37 O 0.4019 0.0975 0.0998
O38 O 0.7549 0.8822 0.7013
Fe7 Fe 0.8344 0.5032 0.2551
O39 O 0.9159 0.8827 0.4148
Li10 Li 0.8326 0.0000 0.5000
O40 O 0.4127 0.0851 0.6128
Si9 Si 0.6649 0.2471 0.7509
Li11 Li 0.7882 0.5000 0.0000
O41 O 0.2552 0.5842 0.8273
Li12 Li 0.9840 0.5000 0.0000
Fe8 Fe 0.4992 0.7507 0.4988
Fe9 Fe 0.1655 0.7505 0.2478
O42 O 0.5854 0.6971 0.3877
O43 O 0.0811 0.3215 0.0742
O44 O 0.9095 0.6093 0.0743
Si10 Si 0.3305 0.4945 0.2450
Si11 Si 0.6705 0.2532 0.2531
O45 O 0.0864 0.7017 0.4138
O46 O 0.9159 0.1173 0.5852
Si12 Si 0.0009 0.2529 0.4959
O47 O 0.5885 0.2973 0.1140
Fe10 Fe 0.1655 0.2495 0.7522
O48 O 0.2639 0.0975 0.8049
Fe11 Fe 0.8349 0.9988 0.2499
Fe12 Fe 0.8344 0.4968 0.7449